Na9Nb2Zn10P3S15O72: optimized geometry, GGA-PBE.

Results
Magnetic moment = 0.000 μB per atom
Calculated formation energy = -232.46 eV/f.u.
SG = P1 (1)

abc: 8.7802 8.7911 22.5917
angles: 89.60 89.65 60.07
Last column: nearest neighbours and their distance in Å.
Fractional coordinates of all 111 atoms:
Na 0.0000 0.0000 0.0000  5 O 2.34-2.61
Na 0.0008 0.3816 0.2544  5 O 2.46-2.71
Na 0.3324 0.7026 0.0848  6 O 2.49-2.61
Na 0.3345 0.0708 0.8286  5 O 2.39-2.56
Na 0.3364 0.7133 0.5838  6 O 2.48-2.63
Na 0.6558 0.0383 0.4150  6 O 2.52-2.72
Na 0.6730 0.0323 0.9144  6 O 2.52-2.70
Na 0.9687 0.0710 0.3286  5 O 2.39-2.61
Na 0.9905 0.3841 0.7548  3 O 2.42-2.50
Nb 0.0012 0.3775 0.1025  6 O 1.94-2.04
Nb 0.0064 0.3687 0.6025  6 O 1.90-2.06
Zn 0.3255 0.7149 0.2324  6 O 2.04-2.21
Zn 0.3320 0.6936 0.9308  5 O 1.99-2.20
Zn 0.3349 0.7131 0.7322  6 O 2.03-2.19
Zn 0.3393 0.7036 0.4302  5 O 2.02-2.22
Zn 0.6615 0.0372 0.5673  5 O 1.93-2.16
Zn 0.6647 0.0422 0.7624  6 O 2.05-2.19
Zn 0.6678 0.0431 0.2627  6 O 2.03-2.19
Zn 0.6783 0.0288 0.0679  6 O 1.97-2.21
Zn 0.9912 0.3929 0.8979  3 O 1.92-2.07
Zn 0.9995 0.3823 0.3982  6 O 2.01-2.17
P 0.3804 0.0301 0.6661  4 O 1.51-1.65
P 0.9658 0.0336 0.1648  4 O 1.53-1.63
P 0.9992 0.6709 0.9965  4 O 1.50-1.61
S 0.0341 0.0046 0.8333  4 O 1.47-1.50
S 0.0398 0.7054 0.3325  4 O 1.47-1.50
S 0.2957 0.3737 0.4970  4 O 1.46-1.55
S 0.2979 0.0815 0.9973  4 O 1.46-1.54
S 0.3364 0.4110 0.8308  4 O 1.47-1.50
S 0.3370 0.0020 0.3326  4 O 1.47-1.51
S 0.3793 0.3326 0.1641  4 O 1.46-1.56
S 0.6266 0.4133 0.3318  4 O 1.47-1.51
S 0.6274 0.7057 0.8321  4 O 1.47-1.50
S 0.6619 0.7491 0.1653  4 O 1.46-1.56
S 0.6635 0.3340 0.6639  4 O 1.46-1.56
S 0.7071 0.3756 0.9979  4 O 1.46-1.53
S 0.7080 0.6672 0.4978  4 O 1.46-1.53
S 0.9622 0.7492 0.6641  4 O 1.46-1.56
S 0.9985 0.0792 0.4973  4 O 1.46-1.55
O 0.0164 0.5500 0.0528  1 P 1.61
O 0.0170 0.1793 0.5504  1 S 1.55
O 0.0200 0.5484 0.3381  1 S 1.48
O 0.0229 0.1804 0.8376  1 S 1.50
O 0.1109 0.9043 0.8892  1 S 1.49
O 0.1198 0.7361 0.3857  1 S 1.49
O 0.1422 0.7159 0.6704  1 S 1.46
O 0.1449 0.6802 0.2785  1 S 1.47
O 0.1494 0.9205 0.7815  1 S 1.48
O 0.1526 0.8786 0.1703  1 P 1.53
O 0.1616 0.9088 0.4971  1 S 1.47
O 0.1675 0.6854 0.9971  1 P 1.55
O 0.1721 0.1782 0.3378  1 S 1.51
O 0.1764 0.1771 0.0503  1 S 1.54
O 0.1794 0.3856 0.8348  1 S 1.50
O 0.1802 0.3911 0.5514  1 S 1.55
O 0.1870 0.2055 0.6533  1 P 1.65
O 0.1934 0.3521 0.1565  1 S 1.56
O 0.2128 0.3487 0.4450  1 S 1.46
O 0.2177 0.1815 0.9429  1 S 1.47
O 0.3013 0.5378 0.4965  1 S 1.47
O 0.3042 0.9103 0.9972  1 S 1.48
O 0.3048 0.9228 0.2798  1 S 1.48
O 0.3127 0.5179 0.7777  1 S 1.47
O 0.3430 0.8789 0.6710  1 P 1.52
O 0.3510 0.5107 0.1698  1 S 1.46
O 0.3587 0.4887 0.8853  1 S 1.47
O 0.3611 0.8975 0.3870  1 S 1.48
O 0.4396 0.0773 0.7231  1 P 1.53
O 0.4455 0.2259 0.2177  1 S 1.46
O 0.4687 0.0673 0.0066  1 S 1.46
O 0.4690 0.2177 0.5050  1 S 1.46
O 0.4789 0.2513 0.1103  1 S 1.46
O 0.4860 0.0109 0.6108  1 P 1.51
O 0.4931 0.0223 0.3258  1 S 1.47
O 0.4944 0.2311 0.8270  1 S 1.50
O 0.5136 0.5116 0.6700  1 S 1.46
O 0.5149 0.7159 0.1714  1 S 1.46
O 0.5164 0.7354 0.8857  1 S 1.49
O 0.5247 0.4924 0.3863  1 S 1.48
O 0.5357 0.6765 0.4971  1 S 1.47
O 0.5380 0.5386 0.9959  1 S 1.46
O 0.5453 0.5187 0.2784  1 S 1.47
O 0.5471 0.6832 0.7783  1 S 1.47
O 0.6373 0.8504 0.1112  1 S 1.46
O 0.6430 0.8678 0.8275  1 S 1.50
O 0.6450 0.2532 0.6103  1 S 1.46
O 0.6496 0.2328 0.3281  1 S 1.50
O 0.6894 0.2187 0.0060  1 S 1.47
O 0.6933 0.8403 0.5045  1 S 1.47
O 0.6997 0.8190 0.2180  1 S 1.46
O 0.7052 0.2264 0.7174  1 S 1.46
O 0.8021 0.3928 0.0521  1 S 1.53
O 0.8034 0.5478 0.8367  1 S 1.48
O 0.8042 0.5533 0.5516  1 S 1.53
O 0.8090 0.3884 0.3361  1 S 1.51
O 0.8125 0.5849 0.4447  1 S 1.46
O 0.8202 0.3414 0.9458  1 S 1.47
O 0.8288 0.3547 0.6553  1 S 1.56
O 0.8292 0.5655 0.1573  1 S 1.56
O 0.8377 0.8548 0.0039  1 P 1.54
O 0.8409 0.0650 0.5067  1 S 1.46
O 0.8554 0.0764 0.2214  1 P 1.53
O 0.8546 0.8175 0.7175  1 S 1.46
O 0.8588 0.0229 0.8262  1 S 1.47
O 0.8630 0.8678 0.3275  1 S 1.50
O 0.8843 0.0146 0.1079  1 P 1.53
O 0.8847 0.8521 0.6105  1 S 1.46
O 0.9746 0.5849 0.9429  1 P 1.50
O 0.9761 0.1822 0.4432  1 S 1.47
O 0.9781 0.5656 0.6556  1 S 1.56
O 0.9833 0.2072 0.1536  1 P 1.63

***

GaAgP2Se6: optimized geometry, GGA-PBE.

Results
Magnetic moment = 0.000 μB per atom
Calculated formation energy = -4.89 eV/f.u.
SG = P-31c (163)
Energy above the lowest structure with this stoichiometry = 16 meV/atom

abc: 6.4575 6.4575 14.9520
angles: 90.00 90.00 120.00
Last column: nearest neighbours and their distance in Å.
Fractional coordinates of all 20 atoms:
Ga 0.0000 0.0000 0.2500  6 Se 2.65
Ga 0.0000 0.0000 0.7500  6 Se 2.65
Ag 0.3333 0.6667 0.2500  6 Se 2.90
Ag 0.6667 0.3333 0.7500  6 Se 2.90
P 0.3333 0.6667 0.6744  3 Se 2.23, 1 P 2.26
P 0.3333 0.6667 0.8256  3 Se 2.23, 1 P 2.26
P 0.6667 0.3333 0.1744  3 Se 2.23, 1 P 2.26
P 0.6667 0.3333 0.3256  3 Se 2.23, 1 P 2.26
Se 0.0196 0.3189 0.8659  1 P 2.23
Se 0.0196 0.7007 0.6341  1 P 2.23
Se 0.2993 0.3189 0.6341  1 P 2.23
Se 0.2993 0.9804 0.8659  1 P 2.23
Se 0.3189 0.0196 0.3659  1 P 2.23
Se 0.3189 0.2993 0.1341  1 P 2.23
Se 0.6811 0.7007 0.8659  1 P 2.23
Se 0.6811 0.9804 0.6341  1 P 2.23
Se 0.7007 0.0196 0.1341  1 P 2.23
Se 0.7007 0.6811 0.3659  1 P 2.23
Se 0.9804 0.2993 0.3659  1 P 2.23
Se 0.9804 0.6811 0.1341  1 P 2.23

***

ScTaN2: optimized geometry, GGA-PBE.

Results
Calculated formation energy = -7.30 eV/f.u.
SG = P6_3/mmc (194)

abc: 3.0783 3.0783 10.6296
angles: 90.00 90.00 120.00
Last column: nearest neighbours and their distance in Å.
Fractional coordinates of all 8 atoms:
Sc 0.0000 0.0000 0.0000  6 N 2.22
Sc 0.0000 0.0000 0.5000  6 N 2.22
Ta 0.3333 0.6667 0.2500  6 N 2.22
Ta 0.6667 0.3333 0.7500  6 N 2.22
N 0.3333 0.6667 0.6246  3 Sc 2.22, 3 Ta 2.22
N 0.3333 0.6667 0.8754  3 Sc 2.22, 3 Ta 2.22
N 0.6667 0.3333 0.1246  3 Sc 2.22, 3 Ta 2.22
N 0.6667 0.3333 0.3754  3 Sc 2.22, 3 Ta 2.22

***

PbO: optimized geometry, GGA-PBE.

Results
Magnetic moment = 0.000 μB per atom
Calculated formation energy = -2.12 eV/f.u.
SG = P4_2/mmc (131)

abc: 3.6401 3.6401 6.6810
angles: 90.00 90.00 90.00
Last column: nearest neighbours and their distance in Å.
Fractional coordinates of all 4 atoms:
Pb 0.0000 0.0000 0.2500  4 O 2.47
Pb 0.0000 0.0000 0.7500  4 O 2.47
O 0.0000 0.5000 0.0000  4 Pb 2.47
O 0.5000 0.0000 0.5000  4 Pb 2.47